(1)
A geometry-optimized Al4Bi3S12 structure. Source: the Materials Project, functional GGA-PBE.

Cell and atoms, written as extended XYZ:
```
76
Lattice="5.0414 -5.2192 0.0000 5.0414 5.2192 0.0000 0.0000 0.0000 39.6704" Properties=species:S:1:pos:R:3 pbc="T T T"
Al 2.5207 0.0000 0.6545
Al 2.5207 0.0000 3.6846
Al 2.5207 0.0000 10.3701
Al 2.5207 0.0000 13.3559
Al 2.5207 0.0000 20.4897
Al 2.5207 0.0000 23.5198
Al 2.5207 0.0000 30.2053
Al 2.5207 0.0000 33.1911
Al 7.5621 0.0000 6.4793
Al 7.5621 0.0000 9.4651
Al 7.5621 0.0000 16.1506
Al 7.5621 0.0000 19.1807
Al 7.5621 0.0000 26.3145
Al 7.5621 0.0000 29.3003
Al 7.5621 0.0000 35.9858
Al 7.5621 0.0000 39.0159
Bi 5.0414 2.6096 8.2924
Bi 5.0414 2.6096 11.5428
Bi 5.0414 2.6096 21.4439
Bi 5.0414 2.6096 24.5753
Bi 5.0414 2.6096 34.9303
Bi 5.0414 2.6096 38.0617
Bi 5.0414 -2.6096 1.6087
Bi 5.0414 -2.6096 4.7401
Bi 5.0414 -2.6096 15.0951
Bi 5.0414 -2.6096 18.2265
Bi 5.0414 -2.6096 28.1276
Bi 5.0414 -2.6096 31.3780
S 2.3360 1.9539 9.0902
S 2.4330 2.0489 14.2874
S 0.5579 0.0044 4.6946
S 0.5579 -0.0044 24.5298
S 0.6937 0.1164 38.8812
S 2.6083 2.0489 34.1226
S 0.7861 0.0533 11.7795
S 2.4194 1.7363 21.8816
S 0.6937 -0.1164 19.0460
S 2.7054 1.9539 28.9254
S 0.7861 -0.0533 31.6147
S 2.6219 1.7363 2.0464
S 2.4194 -1.7363 2.0464
S 4.2553 0.0533 31.6147
S 2.3360 -1.9539 28.9254
S 4.3477 0.1164 19.0460
S 2.6219 -1.7363 21.8816
S 4.2553 -0.0533 11.7795
S 2.4330 -2.0489 34.1226
S 4.3477 -0.1164 38.8812
S 4.4835 0.0044 24.5298
S 4.4835 -0.0044 4.6946
S 2.6083 -2.0489 14.2874
S 2.7054 -1.9539 9.0902
S 7.3773 1.9539 30.5802
S 7.4744 2.0489 25.3830
S 5.5993 0.0044 34.9758
S 5.5993 -0.0044 15.1406
S 5.7350 0.1164 0.7892
S 7.6497 2.0489 5.5478
S 5.8274 0.0533 27.8909
S 7.4608 1.7363 17.7888
S 5.7350 -0.1164 20.6245
S 7.7468 1.9539 10.7450
S 5.8274 -0.0533 8.0557
S 7.6633 1.7363 37.6240
S 7.4608 -1.7363 37.6240
S 9.2967 0.0533 8.0557
S 7.3773 -1.9539 10.7450
S 9.3891 0.1164 20.6245
S 7.6633 -1.7363 17.7888
S 9.2967 -0.0533 27.8909
S 7.4744 -2.0489 5.5478
S 9.3891 -0.1164 0.7892
S 9.5248 0.0044 15.1406
S 9.5248 -0.0044 34.9758
S 7.6497 -2.0489 25.3830
S 7.7468 -1.9539 30.5802
```

Calculated values
For the total energy, the calculation gives -0.3309 Ry per atom. As for the space-group type: Ccce.

=====

(2)
A geometry-optimized SiO2 structure. Source: the Materials Project, functional GGA-PBE.

Cell and atoms, written as extended XYZ:
```
48
Lattice="5.1267 0.0000 0.0000 -2.4152 12.7196 0.0000 -0.1206 -3.5466 14.5439" Properties=species:S:1:pos:R:3 pbc="T T T"
Si 0.3134 0.7875 2.0794
Si 0.2371 -1.5120 13.6478
Si -0.1271 5.3064 5.6834
Si -0.2523 4.3286 12.7111
Si -0.1917 8.9161 1.1303
Si 0.2832 6.3870 2.8299
Si 0.1492 5.6819 8.6410
Si -0.2600 7.1752 11.2139
Si 2.8509 1.9979 3.3300
Si 2.4417 3.4911 5.9030
Si 2.3077 2.7860 11.7140
Si 2.7827 0.2570 13.4136
Si 2.8433 4.8445 1.8329
Si 2.7180 3.8667 8.8605
Si 2.3538 10.6850 0.8962
Si 2.2775 8.3855 12.4646
O -0.0980 -2.7628 12.6719
O -1.7149 9.4816 1.1629
O -1.7683 7.7166 11.4552
O -0.7764 5.3766 2.1173
O -0.9198 4.5070 9.0167
O 0.2621 1.5741 0.6587
O -0.0278 6.1427 7.0843
O 0.1446 6.3226 4.4511
O -0.0518 4.5143 14.3124
O 0.0211 7.9293 2.4011
O -0.0187 5.7553 11.9723
O -0.0552 6.9732 9.6079
O 0.9439 4.0805 5.6732
O 0.8110 3.2328 12.1648
O 1.7920 0.9098 2.7460
O 1.7439 -0.9941 13.3250
O 0.8470 10.1671 1.2189
O 0.7990 8.2632 11.7980
O 1.7799 5.9403 2.3792
O 1.6470 5.0926 8.8707
O 2.6461 2.1998 4.9360
O 2.6096 3.4177 2.5716
O 2.5699 1.2438 12.1428
O 2.6427 4.6587 0.2316
O 2.4464 2.8505 10.0929
O 2.6188 3.0303 7.4596
O 2.3288 7.5990 13.8852
O 3.5108 4.6661 5.5272
O 3.3673 3.7964 12.4266
O 4.3592 1.4564 3.0887
O 4.3058 -0.3086 13.3811
O 2.6889 11.9359 1.8720
```

Calculated values
For the total energy, the calculation gives -0.5810 Ry per atom. As for the space-group type: P-1.

=====

(3)
A geometry-optimized Pr6Mg23C structure. Source: the Materials Project, functional GGA-PBE.

Cell and atoms, written as extended XYZ:
```
30
Lattice="0.0000 7.2024 7.2024 7.2024 0.0000 7.2024 7.2024 7.2024 0.0000" Properties=species:S:1:pos:R:3 pbc="T T T"
Pr 7.2024 7.2024 2.6676
Pr 7.2024 2.6676 7.2024
Pr 11.7372 7.2024 7.2024
Pr 2.6676 7.2024 7.2024
Pr 7.2024 11.7372 7.2024
Pr 7.2024 7.2024 11.7372
Mg 3.6012 3.6012 0.0000
Mg 3.6012 0.0000 3.6012
Mg 7.2024 3.6012 3.6012
Mg 8.9436 5.4613 5.4613
Mg 2.4635 2.4635 2.4635
Mg 4.7389 4.7389 2.4635
Mg 4.7389 2.4635 4.7389
Mg 5.4613 5.4613 5.4613
Mg 8.9436 8.9436 5.4613
Mg 8.9436 5.4613 8.9436
Mg 2.4635 4.7389 4.7389
Mg 0.0000 3.6012 3.6012
Mg 3.6012 7.2024 3.6012
Mg 3.6012 3.6012 7.2024
Mg 7.2024 7.2024 7.2024
Mg 11.9414 9.6659 9.6659
Mg 5.4613 8.9436 5.4613
Mg 5.4613 5.4613 8.9436
Mg 8.9436 8.9436 8.9436
Mg 9.6659 11.9414 9.6659
Mg 9.6659 9.6659 11.9414
Mg 11.9414 11.9414 11.9414
Mg 5.4613 8.9436 8.9436
C 0.0000 0.0000 0.0000
```

Calculated values
For the total energy, the calculation gives -0.1903 Ry per atom. As for the space-group type: Fm-3m.

=====

(4)
A geometry-optimized U3S3O16 structure. Source: the Materials Project, functional GGA-PBE.

Cell and atoms, written as extended XYZ:
```
44
Lattice="-5.3235 5.3235 5.1443 5.3235 -5.3235 5.1443 5.3235 5.3235 -5.1443" Properties=species:S:1:pos:R:3 pbc="T T T"
U 0.0000 0.0000 2.5607
U 4.9493 2.7357 0.0000
U 2.5878 -0.3743 5.1443
U 2.7357 5.6978 0.0000
U 0.3743 2.5878 5.1443
U 0.0000 0.0000 7.7278
S 8.3003 1.3295 0.0000
S 1.3295 2.3467 0.0000
S 5.3235 0.0000 2.5721
S 0.0000 5.3235 2.5721
S 3.9941 2.9768 5.1443
S -2.9768 3.9941 5.1443
O 5.9843 -3.5022 3.9280
O 1.8213 -0.6607 1.2163
O 5.8557 -1.1141 1.7405
O 6.8322 1.2282 0.0000
O 8.8257 0.6607 1.2163
O 2.7522 1.9272 0.0000
O 6.3884 3.8575 -1.2892
O 3.3964 -2.5714 5.1443
O 4.7914 1.1141 1.7405
O 3.8575 4.2587 -1.2892
O 4.2094 -0.5322 3.4038
O 0.6607 1.8213 1.2163
O 1.2282 3.8149 0.0000
O 6.4377 0.5322 3.4038
O 1.4660 1.0649 3.8551
O 6.3884 3.8575 1.2892
O -1.0649 1.4660 3.8551
O 3.8575 4.2587 1.2892
O -1.1141 4.7914 1.7405
O 4.0953 1.5086 5.1443
O 4.6629 3.5022 3.9280
O 1.1141 5.8557 1.7405
O 1.4660 1.0649 6.4335
O 0.5322 4.2094 3.4038
O 1.9272 7.8949 0.0000
O -1.0649 1.4660 6.4335
O 2.5714 3.3964 5.1443
O -3.5022 4.6629 3.9280
O -1.5086 4.0953 5.1443
O -0.5322 6.4377 3.4038
O 3.5022 5.9842 3.9280
O -0.6607 8.8257 1.2163
```

Calculated values
For the total energy, the calculation gives -0.5791 Ry per atom. As for the space-group type: I4/m.

=====

> Which formula does entry 3 have?

Pr6Mg23C